# 1
Density functional theory data (PBE) for a geometry-optimized CaP4Br12O4 structure.

Unit cell a=6.879 b=10.988 c=11.009 alpha=88.35 beta=81.40 gamma=87.23
Positions (direct):
Ca  0.000  0.000  0.000
P  0.122  0.982  0.320
P  0.440  0.967  0.759
P  0.588  0.464  0.184
P  0.874  0.476  0.682
Br  0.114  0.470  0.526
Br  0.190  0.148  0.806
Br  0.192  0.813  0.847
Br  0.280  0.808  0.340
Br  0.298  0.124  0.374
Br  0.438  0.417  0.031
Br  0.612  0.966  0.045
Br  0.687  0.325  0.652
Br  0.693  0.641  0.646
Br  0.740  0.630  0.121
Br  0.823  0.320  0.190
Br  0.856  0.977  0.455
O  0.076  0.004  0.193
O  0.458  0.476  0.303
O  0.473  0.952  0.624
O  0.938  0.472  0.804

Computed properties:
Excess energy over the best structure of this formula in the dataset (eV per formula unit): 0.145
Total moment (μB/f.u.): 0.0
Symmetry: P1, No. 1
V (Å³ per cell): 821.6
Electronic total energy (eV per atom): -3.96

***

# 2
Density functional theory data (PBE) for a geometry-optimized CaP4Br12O4 structure.

Unit cell a=6.821 b=10.491 c=11.870 alpha=88.02 beta=77.65 gamma=79.64
Positions (direct):
Ca  0.000  0.000  0.000
P  0.188  0.229  0.731
P  0.440  0.692  0.132
P  0.722  0.712  0.602
P  0.997  0.181  0.265
Br  0.012  0.418  0.790
Br  0.137  0.353  0.243
Br  0.166  0.044  0.367
Br  0.196  0.745  0.979
Br  0.358  0.149  0.869
Br  0.522  0.899  0.579
Br  0.537  0.564  0.588
Br  0.558  0.473  0.072
Br  0.586  0.011  0.045
Br  0.690  0.232  0.370
Br  0.952  0.098  0.749
Br  0.962  0.692  0.445
O  0.296  0.691  0.245
O  0.314  0.225  0.613
O  0.795  0.707  0.711
O  0.997  0.124  0.151

Computed properties:
Excess energy over the best structure of this formula in the dataset (eV per formula unit): 0.394
Total moment (μB/f.u.): 0.0
Symmetry: P1, No. 1
V (Å³ per cell): 816.2
Electronic total energy (eV per atom): -3.95

***

# 3
Density functional theory data (PBE) for a geometry-optimized CaP4Br12O4 structure.

Unit cell a=6.729 b=10.956 c=11.115 alpha=91.35 beta=100.32 gamma=94.95
Positions (direct):
Ca  0.000  0.000  0.000
P  0.019  0.775  0.258
P  0.223  0.289  0.862
P  0.528  0.296  0.364
P  0.802  0.831  0.712
Br  0.221  0.792  0.095
Br  0.330  0.126  0.378
Br  0.340  0.444  0.396
Br  0.367  0.073  0.910
Br  0.400  0.477  0.925
Br  0.497  0.797  0.607
Br  0.768  0.301  0.527
Br  0.812  0.969  0.209
Br  0.833  0.589  0.224
Br  0.936  0.657  0.719
Br  0.964  0.266  0.989
Br  0.966  0.950  0.601
O  0.125  0.288  0.731
O  0.153  0.788  0.380
O  0.602  0.302  0.247
O  0.811  0.888  0.837

Computed properties:
Excess energy over the best structure of this formula in the dataset (eV per formula unit): 1.252
Total moment (μB/f.u.): 0.0
Symmetry: P1, No. 1
V (Å³ per cell): 802.5
Electronic total energy (eV per atom): -3.91

***

# 4
Density functional theory data (PBE) for a geometry-optimized CaP4Br12O4 structure.

Unit cell a=5.872 b=11.676 c=11.722 alpha=89.74 beta=84.75 gamma=89.98
Positions (direct):
Ca  0.000  0.000  0.000
P  0.047  0.000  0.315
P  0.376  0.998  0.734
P  0.491  0.498  0.170
P  0.815  0.499  0.672
Br  0.048  0.499  0.514
Br  0.109  0.155  0.813
Br  0.109  0.842  0.817
Br  0.246  0.847  0.346
Br  0.247  0.153  0.346
Br  0.310  0.500  0.015
Br  0.509  0.001  0.026
Br  0.591  0.350  0.654
Br  0.593  0.649  0.652
Br  0.718  0.649  0.153
Br  0.721  0.349  0.149
Br  0.764  0.000  0.447
O  0.344  0.496  0.279
O  0.358  0.997  0.608
O  0.927  0.499  0.780
O  0.973  0.001  0.196

Computed properties:
Excess energy over the best structure of this formula in the dataset (eV per formula unit): 0.000
Total moment (μB/f.u.): 0.0
Symmetry: P1, No. 1
V (Å³ per cell): 800.3
Electronic total energy (eV per atom): -3.97